No. 1
Below is a geometry-optimized MgV2Bi4O11 structure, with properties calculated at the PBE+U level.

Output
Energy above the lowest structure with this stoichiometry in kJ/mol of atoms: 1.5
DFT total energy in Ry/atom: -0.4664

```
data_MgV2Bi4O11
_cell_length_a 6.265
_cell_length_b 6.597
_cell_length_c 8.396
_cell_angle_alpha 67.27
_cell_angle_beta 83.25
_cell_angle_gamma 71.65
_symmetry_space_group_name_H-M 'P 1'
_symmetry_Int_Tables_number 1
_symmetry_space_group_name_Hall 'P 1'
loop_
_atom_site_label
_atom_site_fract_x
_atom_site_fract_y
_atom_site_fract_z
_atom_site_occupancy
Mg1 0.000 0.000 0.000 1
V1 0.470 0.237 0.378 1
V2 0.976 0.746 0.353 1
Bi1 0.003 0.491 0.028 1
Bi2 0.486 0.654 0.729 1
Bi3 0.499 0.002 0.009 1
Bi4 0.986 0.246 0.618 1
O1 0.092 0.969 0.238 1
O2 0.143 0.258 0.862 1
O3 0.165 0.757 0.895 1
O4 0.195 0.460 0.396 1
O5 0.365 0.019 0.568 1
O6 0.461 0.219 0.174 1
O7 0.683 0.703 0.892 1
O8 0.716 0.262 0.434 1
O9 0.718 0.194 0.857 1
O10 0.816 0.639 0.550 1
O11 0.832 0.768 0.161 1
```

=====

No. 2
Below is a geometry-optimized MgV2Bi2O10 structure, with properties calculated at the PBE+U level.

Output
DFT total energy in Ry/atom: -0.4741

```
data_MgV2Bi2O10
_cell_length_a 5.448
_cell_length_b 11.116
_cell_length_c 8.271
_cell_angle_alpha 90.00
_cell_angle_beta 108.36
_cell_angle_gamma 90.00
_symmetry_space_group_name_H-M 'P 1 21 1'
_symmetry_Int_Tables_number 4
_symmetry_space_group_name_Hall 'P 2yb'
loop_
_atom_site_label
_atom_site_fract_x
_atom_site_fract_y
_atom_site_fract_z
_atom_site_occupancy
Mg1 0.119 0.000 0.077 1
V1 0.045 0.770 0.718 1
V2 0.450 0.061 0.795 1
Bi1 0.138 0.505 0.586 1
Bi2 0.382 0.320 0.916 1
O1 0.016 0.390 0.754 1
O2 0.083 0.141 0.228 1
O3 0.195 0.361 0.418 1
O4 0.211 0.853 0.909 1
O5 0.243 0.110 0.911 1
O6 0.253 0.711 0.617 1
O7 0.274 0.999 0.599 1
O8 0.285 0.471 0.081 1
O9 0.429 0.697 0.238 1
O10 0.497 0.960 0.221 1
```

=====

No. 3
Below is a geometry-optimized MgV2Bi4O11 structure, with properties calculated at the PBE+U level.

Output
Energy above the lowest structure with this stoichiometry in kJ/mol of atoms: 0.0
DFT total energy in Ry/atom: -0.4676

```
data_MgV2Bi4O11
_cell_length_a 5.811
_cell_length_b 6.189
_cell_length_c 8.173
_cell_angle_alpha 98.57
_cell_angle_beta 104.15
_cell_angle_gamma 93.63
_symmetry_space_group_name_H-M 'P 1'
_symmetry_Int_Tables_number 1
_symmetry_space_group_name_Hall 'P 1'
loop_
_atom_site_label
_atom_site_fract_x
_atom_site_fract_y
_atom_site_fract_z
_atom_site_occupancy
Mg1 0.000 0.000 0.000 1
V1 0.262 0.665 0.794 1
V2 0.722 0.263 0.776 1
Bi1 0.001 0.559 0.210 1
Bi2 0.101 0.102 0.512 1
Bi3 0.524 0.146 0.264 1
Bi4 0.645 0.658 0.532 1
O1 0.150 0.002 0.256 1
O2 0.261 0.773 0.602 1
O3 0.299 0.882 0.962 1
O4 0.367 0.486 0.281 1
O5 0.509 0.519 0.826 1
O6 0.519 0.221 0.539 1
O7 0.765 0.871 0.370 1
O8 0.834 0.264 0.027 1
O9 0.844 0.985 0.749 1
O10 0.880 0.402 0.399 1
O11 0.995 0.497 0.774 1
```

=====

No. 4
Below is a geometry-optimized MgVBiO5 structure, with properties calculated at the PBE+U level.

Output
Energy above the lowest structure with this stoichiometry in kJ/mol of atoms: 5.6
DFT total energy in Ry/atom: -0.4867

```
data_MgVBiO5
_cell_length_a 5.279
_cell_length_b 15.604
_cell_length_c 10.711
_cell_angle_alpha 90.00
_cell_angle_beta 90.00
_cell_angle_gamma 90.00
_symmetry_space_group_name_H-M 'P b c a'
_symmetry_Int_Tables_number 61
_symmetry_space_group_name_Hall '-P 2ac 2ab'
loop_
_atom_site_label
_atom_site_fract_x
_atom_site_fract_y
_atom_site_fract_z
_atom_site_occupancy
Mg1 0.006 0.046 0.137 1
V1 0.015 0.592 0.899 1
Bi1 0.022 0.226 0.354 1
O1 0.073 0.693 0.828 1
O2 0.138 0.020 0.698 1
O3 0.188 0.118 0.475 1
O4 0.197 0.056 0.958 1
O5 0.205 0.149 0.216 1
```

=====

No. 5
Below is a geometry-optimized MgBiWO5 structure, with properties calculated at the PBE+U level.

Output
Energy above the lowest structure with this stoichiometry in kJ/mol of atoms: 9.6
DFT total energy in Ry/atom: -0.4740

```
data_MgBiWO5
_cell_length_a 5.135
_cell_length_b 18.306
_cell_length_c 10.192
_cell_angle_alpha 90.00
_cell_angle_beta 90.00
_cell_angle_gamma 90.00
_symmetry_space_group_name_H-M 'P b c a'
_symmetry_Int_Tables_number 61
_symmetry_space_group_name_Hall '-P 2ac 2ab'
loop_
_atom_site_label
_atom_site_fract_x
_atom_site_fract_y
_atom_site_fract_z
_atom_site_occupancy
Mg1 0.019 0.057 0.139 1
Bi1 0.048 0.710 0.153 1
W1 0.005 0.077 0.619 1
O1 0.135 0.160 0.681 1
O2 0.213 0.615 0.010 1
O3 0.232 0.523 0.772 1
O4 0.241 0.533 0.518 1
O5 0.249 0.128 0.281 1
```

=====

No. 6
Below is a geometry-optimized MgBi4W2O12 structure, with properties calculated at the PBE+U level.

Output
Energy above the lowest structure with this stoichiometry in kJ/mol of atoms: 5.9
DFT total energy in Ry/atom: -0.4675

```
data_MgBi4W2O12
_cell_length_a 3.910
_cell_length_b 8.040
_cell_length_c 8.931
_cell_angle_alpha 102.11
_cell_angle_beta 102.42
_cell_angle_gamma 90.02
_symmetry_space_group_name_H-M 'P -1'
_symmetry_Int_Tables_number 2
_symmetry_space_group_name_Hall '-P 1'
loop_
_atom_site_label
_atom_site_fract_x
_atom_site_fract_y
_atom_site_fract_z
_atom_site_occupancy
Mg1 0.000 0.000 0.000 1
Bi1 0.180 0.073 0.352 1
Bi2 0.181 0.598 0.356 1
W1 0.484 0.289 0.969 1
O1 0.018 0.752 0.035 1
O2 0.241 0.369 0.480 1
O3 0.252 0.876 0.505 1
O4 0.379 0.165 0.755 1
O5 0.427 0.504 0.853 1
O6 0.444 0.865 0.884 1
```

=====

No. 7
Below is a geometry-optimized MgBi4W2O12 structure, with properties calculated at the PBE+U level.

Output
Energy above the lowest structure with this stoichiometry in kJ/mol of atoms: 1.5
DFT total energy in Ry/atom: -0.4708

```
data_MgBi4W2O12
_cell_length_a 3.984
_cell_length_b 8.463
_cell_length_c 8.761
_cell_angle_alpha 97.34
_cell_angle_beta 92.65
_cell_angle_gamma 99.77
_symmetry_space_group_name_H-M 'P 1'
_symmetry_Int_Tables_number 1
_symmetry_space_group_name_Hall 'P 1'
loop_
_atom_site_label
_atom_site_fract_x
_atom_site_fract_y
_atom_site_fract_z
_atom_site_occupancy
Mg1 0.000 0.000 0.000 1
Bi1 0.101 0.338 0.592 1
Bi2 0.353 0.332 0.029 1
Bi3 0.451 0.987 0.713 1
Bi4 0.523 0.012 0.299 1
W1 0.906 0.640 0.911 1
W2 0.962 0.673 0.300 1
O1 0.068 0.901 0.416 1
O2 0.102 0.163 0.769 1
O3 0.155 0.169 0.197 1
O4 0.396 0.619 0.912 1
O5 0.470 0.702 0.288 1
O6 0.539 0.067 0.965 1
O7 0.614 0.178 0.516 1
O8 0.788 0.447 0.762 1
O9 0.891 0.489 0.098 1
O10 0.914 0.531 0.439 1
O11 0.963 0.832 0.802 1
O12 0.987 0.802 0.103 1
```

=====

No. 8
Below is a geometry-optimized MgBi4W2O12 structure, with properties calculated at the PBE+U level.

Output
Energy above the lowest structure with this stoichiometry in kJ/mol of atoms: 0.2
DFT total energy in Ry/atom: -0.4718

```
data_MgBi4W2O12
_cell_length_a 5.470
_cell_length_b 5.854
_cell_length_c 8.910
_cell_angle_alpha 79.16
_cell_angle_beta 87.36
_cell_angle_gamma 89.93
_symmetry_space_group_name_H-M 'P 1'
_symmetry_Int_Tables_number 1
_symmetry_space_group_name_Hall 'P 1'
loop_
_atom_site_label
_atom_site_fract_x
_atom_site_fract_y
_atom_site_fract_z
_atom_site_occupancy
Mg1 0.000 0.000 0.000 1
Bi1 0.029 0.889 0.480 1
Bi2 0.050 0.503 0.203 1
Bi3 0.505 0.402 0.498 1
Bi4 0.508 0.055 0.189 1
W1 0.484 0.902 0.791 1
W2 0.981 0.423 0.781 1
O1 0.076 0.329 0.003 1
O2 0.215 0.183 0.742 1
O3 0.227 0.688 0.710 1
O4 0.241 0.221 0.354 1
O5 0.314 0.839 0.989 1
O6 0.339 0.751 0.351 1
O7 0.594 0.007 0.584 1
O8 0.704 0.336 0.289 1
O9 0.734 0.124 0.861 1
O10 0.735 0.642 0.831 1
O11 0.865 0.884 0.220 1
O12 0.898 0.501 0.555 1
```

=====

No. 9
Below is a geometry-optimized MgBi4W2O12 structure, with properties calculated at the PBE+U level.

Output
Energy above the lowest structure with this stoichiometry in kJ/mol of atoms: 0.0
DFT total energy in Ry/atom: -0.4720

```
data_MgBi4W2O12
_cell_length_a 17.635
_cell_length_b 5.778
_cell_length_c 5.600
_cell_angle_alpha 90.00
_cell_angle_beta 90.78
_cell_angle_gamma 90.00
_symmetry_space_group_name_H-M 'C 1 2 1'
_symmetry_Int_Tables_number 5
_symmetry_space_group_name_Hall 'C 2y'
loop_
_atom_site_label
_atom_site_fract_x
_atom_site_fract_y
_atom_site_fract_z
_atom_site_occupancy
Mg1 0.000 0.000 0.000 1
Bi1 0.175 0.660 0.459 1
Bi2 0.182 0.167 0.028 1
W1 0.000 0.012 0.500 1
W2 0.000 0.508 0.000 1
O1 0.031 0.241 0.769 1
O2 0.031 0.768 0.763 1
O3 0.100 0.995 0.364 1
O4 0.103 0.501 0.121 1
O5 0.248 0.875 0.230 1
O6 0.249 0.880 0.728 1
```

=====

No. 10
Below is a geometry-optimized MgBi4W2O12 structure, with properties calculated at the PBE+U level.

Output
Energy above the lowest structure with this stoichiometry in kJ/mol of atoms: 2.2
DFT total energy in Ry/atom: -0.4703

```
data_MgBi4W2O12
_cell_length_a 5.557
_cell_length_b 5.601
_cell_length_c 9.638
_cell_angle_alpha 106.14
_cell_angle_beta 94.37
_cell_angle_gamma 90.17
_symmetry_space_group_name_H-M 'P 1'
_symmetry_Int_Tables_number 1
_symmetry_space_group_name_Hall 'P 1'
loop_
_atom_site_label
_atom_site_fract_x
_atom_site_fract_y
_atom_site_fract_z
_atom_site_occupancy
Mg1 0.000 0.000 0.000 1
Bi1 0.126 0.905 0.694 1
Bi2 0.462 0.463 0.851 1
Bi3 0.530 0.121 0.127 1
Bi4 0.947 0.606 0.146 1
W1 0.046 0.189 0.442 1
W2 0.543 0.680 0.449 1
O1 0.146 0.266 0.661 1
O2 0.201 0.696 0.973 1
O3 0.249 0.891 0.428 1
O4 0.272 0.153 0.926 1
O5 0.328 0.390 0.413 1
O6 0.481 0.772 0.665 1
O7 0.583 0.559 0.232 1
O8 0.719 0.772 0.000 1
O9 0.762 0.264 0.990 1
O10 0.773 0.948 0.472 1
O11 0.833 0.456 0.474 1
O12 0.964 0.076 0.221 1
```

=====

No. 11
Below is a geometry-optimized MgBiWO5 structure, with properties calculated at the PBE+U level.

Output
Energy above the lowest structure with this stoichiometry in kJ/mol of atoms: 0.0
DFT total energy in Ry/atom: -0.4813

```
data_MgBiWO5
_cell_length_a 5.433
_cell_length_b 11.887
_cell_length_c 8.469
_cell_angle_alpha 90.00
_cell_angle_beta 113.70
_cell_angle_gamma 90.00
_symmetry_space_group_name_H-M 'P 1 21/c 1'
_symmetry_Int_Tables_number 14
_symmetry_space_group_name_Hall '-P 2ybc'
loop_
_atom_site_label
_atom_site_fract_x
_atom_site_fract_y
_atom_site_fract_z
_atom_site_occupancy
Mg1 0.065 0.080 0.173 1
Bi1 0.445 0.103 0.846 1
W1 0.289 0.638 0.024 1
O1 0.153 0.572 0.168 1
O2 0.196 0.704 0.478 1
O3 0.258 0.029 0.013 1
O4 0.277 0.566 0.824 1
O5 0.356 0.187 0.338 1
```

=====

No. 12
Below is a geometry-optimized NaSrMnBiO6 structure, with properties calculated at the PBE+U level.

Output
DFT total energy in Ry/atom: -0.4312

```
data_NaSrMnBiO6
_cell_length_a 8.072
_cell_length_b 8.072
_cell_length_c 8.072
_cell_angle_alpha 90.00
_cell_angle_beta 90.00
_cell_angle_gamma 90.00
_symmetry_space_group_name_H-M 'F -4 3 m'
_symmetry_Int_Tables_number 216
_symmetry_space_group_name_Hall 'F -4 2 3'
loop_
_atom_site_label
_atom_site_fract_x
_atom_site_fract_y
_atom_site_fract_z
_atom_site_occupancy
Na1 0.000 0.000 0.000 1
Sr1 0.000 0.000 0.500 1
Mn1 0.250 0.250 0.250 1
Bi1 0.250 0.250 0.750 1
O1 0.011 0.250 0.250 1
```

=====

No. 13
Below is a geometry-optimized NaMnBiWO6 structure, with properties calculated at the PBE+U level.

Output
DFT total energy in Ry/atom: -0.4820

```
data_NaMnBiWO6
_cell_length_a 8.058
_cell_length_b 8.058
_cell_length_c 8.058
_cell_angle_alpha 90.00
_cell_angle_beta 90.00
_cell_angle_gamma 90.00
_symmetry_space_group_name_H-M 'F -4 3 m'
_symmetry_Int_Tables_number 216
_symmetry_space_group_name_Hall 'F -4 2 3'
loop_
_atom_site_label
_atom_site_fract_x
_atom_site_fract_y
_atom_site_fract_z
_atom_site_occupancy
Na1 0.000 0.000 0.000 1
Mn1 0.250 0.250 0.750 1
Bi1 0.000 0.000 0.500 1
W1 0.250 0.250 0.250 1
O1 0.010 0.250 0.250 1
```

=====

no.,ρ (g/cm3)
1,6.2
2,4.9
3,6.7
4,5.5
5,6.9
6,8.8
7,8.2
8,8.4
9,8.3
10,8.2
11,6.6
12,5.9
13,7.2